# BaY2O4

An optimized crystal structure of BaY2O4 (r2SCAN, the Materials Project).

It has space group Pnma (No. 62), with a = 10.436 Å, b = 3.461 Å, c = 12.140 Å, α = 90.00°, β = 90.00° and γ = 90.00°. Symmetry generates all atoms from Ba at (0.247, 0.250, 0.149), Y at (0.073, 0.250, 0.389), Y at (0.078, 0.250, 0.891), O at (0.019, 0.750, 0.783), O at (0.070, 0.250, 0.574), O at (0.115, 0.750, 0.018) and O at (0.209, 0.750, 0.341).

The formation enthalpy at 0 K is -346 kJ per mole of atoms. The crystal system is orthorhombic. The value obtained for the total magnetic moment is 0.0 μB/f.u.